# SrAl12O19 (GGA-PBE, optimized geometry)
# Energy of formation from the pure elements   -10616 kJ/mol of formula units
# E (MP2020)   -7.834 eV/atom
# Calculated total energy   -7.43 eV/atom
# Total magnetic moment   0.00 μB/cell
data_SrAl12O19
_cell_length_a 5.6190
_cell_length_b 5.6190
_cell_length_c 22.1795
_cell_angle_alpha 90.00
_cell_angle_beta 90.00
_cell_angle_gamma 120.00
_symmetry_space_group_name_H-M 'P 63 m c'
_symmetry_Int_Tables_number 186
_symmetry_space_group_name_Hall 'P 6c -2c'
loop_
_atom_site_label
_atom_site_fract_x
_atom_site_fract_y
_atom_site_fract_z
Sr1 0.3333 0.6667 0.0000
Al1 0.0000 0.0000 0.0096
Al2 0.0000 0.0000 0.2515
Al3 0.1676 0.3353 0.8601
Al4 0.1692 0.3384 0.1429
Al5 0.3333 0.6667 0.2796
Al6 0.3333 0.6667 0.4413
Al7 0.3333 0.6667 0.5605
Al8 0.3333 0.6667 0.7231
O1 0.0000 0.0000 0.1012
O2 0.0000 0.0000 0.3987
O3 0.0043 0.5022 0.8993
O4 0.0052 0.5026 0.1031
O5 0.1545 0.3091 0.6988
O6 0.1553 0.3106 0.3025
O7 0.1812 0.3623 0.5018
O8 0.3333 0.6667 0.1968
O9 0.3333 0.6667 0.8054